FeCoSb4 | Materials Project | PBE | relaxed; volume = 121.59 Å³ per cell; E_form = -1.38 eV/f.u.; M_tot = 0.49 μB per cell; space group = P2/m, No. 10; total DFT energy (no corrections) = -5.451 eV/atom
1.0
5.7418 0.0000 0.0000
0.0000 3.2708 0.0000
-0.0153 0.0000 6.4742
Fe Co Sb
1 1 4
direct
0.0000 0.0000 0.0000
0.5000 0.5000 0.5000
0.1951 0.0000 0.3545
0.3045 0.5000 0.8562
0.6955 0.5000 0.1438
0.8049 0.0000 0.6455